A relaxed TcGe3 crystal. Source: the Materials Project database, functional GGA-PBE.

## Properties
Its formation energy is 1.63 eV/f.u.

Geometry as CIF:
```
data_TcGe3
_symmetry_space_group_name_H-M 'P 1'
_symmetry_Int_Tables_number 1
_cell_length_a 4.810
_cell_length_b 4.810
_cell_length_c 4.810
_cell_angle_alpha 129.90
_cell_angle_beta 129.90
_cell_angle_gamma 73.56
loop_
_symmetry_equiv_pos_as_xyz
'x,y,z'
loop_
_atom_site_label
_atom_site_type_symbol
_atom_site_fract_x
_atom_site_fract_y
_atom_site_fract_z
Tc1 Tc 0.000 0.000 0.000
Ge1 Ge 0.750 0.250 0.500
Ge2 Ge 0.250 0.750 0.500
Ge3 Ge 0.500 0.500 0.000
```